Crystalline Rb2LiSbF6 at its relaxed geometry, computed with PBE-GGA.

- formation energy from the elements (eV/atom) = -2.90
- total magnetization (μB/f.u.) = 0.0
- electronic total energy (eV per atom) = -4.569
- calculated volume (Å³/cell) = 168

Structure (CIF):
```
data_Rb2LiSbF6
_chemical_formula_sum 'Rb2 Li1 Sb1 F6'
_cell_length_a 6.192
_cell_length_b 6.192
_cell_length_c 6.192
_cell_angle_alpha 60.00
_cell_angle_beta 60.00
_cell_angle_gamma 60.00
_space_group_name_H-M_alt 'P 1'
_space_group_IT_number 1
loop_
_space_group_symop_operation_xyz
'x,y,z'
loop_
_atom_site_label
_atom_site_fract_x
_atom_site_fract_y
_atom_site_fract_z
_atom_site_occupancy
Rb1 0.250 0.250 0.250 1
Rb2 0.750 0.750 0.750 1
Li1 0.000 0.000 0.000 1
Sb1 0.500 0.500 0.500 1
F1 0.247 0.247 0.753 1
F2 0.247 0.753 0.247 1
F3 0.247 0.753 0.753 1
F4 0.753 0.247 0.247 1
F5 0.753 0.247 0.753 1
F6 0.753 0.753 0.247 1
```